Record 1
First-principles (GGA-PBE) data for crystalline Mg14ZrNi at its relaxed geometry, as listed in Materials Project.

a b c (Å): 6.314 6.314 9.995
angles (deg): 90.00 90.00 120.00
Atoms (fractional coordinates):
Mg  0.178  0.839  0.125
Mg  0.161  0.830  0.625
Mg  0.661  0.322  0.125
Mg  0.670  0.339  0.625
Mg  0.661  0.839  0.125
Mg  0.670  0.830  0.625
Mg  0.325  0.175  0.388
Mg  0.325  0.175  0.862
Mg  0.325  0.650  0.388
Mg  0.325  0.650  0.862
Mg  0.850  0.175  0.388
Mg  0.850  0.175  0.862
Mg  0.833  0.667  0.367
Mg  0.833  0.667  0.883
Zr  0.167  0.333  0.125
Ni  0.167  0.333  0.625

The energy above the lowest structure with this stoichiometry comes out at 0.015 eV per atom. For the calculated formation energy, the calculation gives 46 meV per atom.


Record 2
First-principles (GGA-PBE) data for crystalline Mg14BSb at its relaxed geometry, as listed in Materials Project.

a b c (Å): 6.336 6.537 9.931
angles (deg): 90.00 90.00 121.06
Atoms (fractional coordinates):
Mg  0.176  0.338  0.625
Mg  0.179  0.839  0.625
Mg  0.710  0.350  0.125
Mg  0.668  0.329  0.625
Mg  0.710  0.859  0.125
Mg  0.668  0.839  0.625
Mg  0.324  0.179  0.353
Mg  0.324  0.179  0.897
Mg  0.324  0.645  0.353
Mg  0.324  0.645  0.897
Mg  0.842  0.171  0.365
Mg  0.842  0.171  0.885
Mg  0.831  0.665  0.380
Mg  0.831  0.665  0.870
B  0.080  0.290  0.125
Sb  0.169  0.835  0.125

For the calculated formation energy, the calculation gives 136 meV per atom. For the total energy after the MP2020 corrections, the calculation gives -1.939 eV/atom.


Record 3
First-principles (GGA-PBE) data for crystalline PrGe3Rh at its relaxed geometry, as listed in Materials Project.

a b c (Å): 4.439 4.439 5.983
angles (deg): 111.78 111.78 90.00
Atoms (fractional coordinates):
Pr  0.003  0.003  0.006
Ge  0.239  0.739  0.479
Ge  0.739  0.239  0.479
Ge  0.579  0.579  0.159
Rh  0.343  0.343  0.685

For the calculated formation energy, the calculation gives -704 meV per atom.


Record 4
First-principles (GGA-PBE) data for crystalline Li3B8O15 at its relaxed geometry, as listed in Materials Project.

a b c (Å): 9.026 9.026 15.996
angles (deg): 90.00 90.00 120.00
Atoms (fractional coordinates):
Li  0.692  0.662  0.750
Li  0.338  0.030  0.750
Li  0.970  0.308  0.750
Li  0.662  0.692  0.250
Li  0.030  0.338  0.250
Li  0.308  0.970  0.250
Li  0.437  0.000  0.500
Li  0.000  0.437  0.500
Li  0.563  0.563  0.500
Li  0.437  0.000  0.000
Li  0.000  0.437  0.000
Li  0.563  0.563  0.000
B  0.842  0.477  0.664
B  0.523  0.365  0.664
B  0.635  0.158  0.664
B  0.842  0.477  0.836
B  0.523  0.365  0.836
B  0.635  0.158  0.836
B  0.477  0.842  0.164
B  0.365  0.523  0.164
B  0.158  0.635  0.164
B  0.477  0.842  0.336
B  0.365  0.523  0.336
B  0.158  0.635  0.336
B  0.000  0.000  0.750
B  0.000  0.000  0.250
B  0.056  0.753  0.750
B  0.247  0.304  0.750
B  0.696  0.944  0.750
B  0.753  0.056  0.250
B  0.304  0.247  0.250
B  0.944  0.696  0.250
B  0.115  0.727  0.603
B  0.273  0.388  0.603
B  0.612  0.885  0.603
B  0.115  0.727  0.897
B  0.273  0.388  0.897
B  0.612  0.885  0.897
B  0.727  0.115  0.103
B  0.388  0.273  0.103
B  0.885  0.612  0.103
B  0.727  0.115  0.397
B  0.388  0.273  0.397
B  0.885  0.612  0.397
O  0.944  0.560  0.750
O  0.440  0.384  0.750
O  0.616  0.056  0.750
O  0.560  0.944  0.250
O  0.384  0.440  0.250
O  0.056  0.616  0.250
O  0.966  0.571  0.595
O  0.429  0.395  0.595
O  0.605  0.034  0.595
O  0.966  0.571  0.905
O  0.429  0.395  0.905
O  0.605  0.034  0.905
O  0.571  0.966  0.095
O  0.395  0.429  0.095
O  0.034  0.605  0.095
O  0.571  0.966  0.405
O  0.395  0.429  0.405
O  0.034  0.605  0.405
O  0.171  0.810  0.822
O  0.190  0.361  0.822
O  0.639  0.829  0.822
O  0.171  0.810  0.678
O  0.190  0.361  0.678
O  0.639  0.829  0.678
O  0.810  0.171  0.322
O  0.361  0.190  0.322
O  0.829  0.639  0.322
O  0.810  0.171  0.178
O  0.361  0.190  0.178
O  0.829  0.639  0.178
O  0.944  0.828  0.750
O  0.172  0.117  0.750
O  0.883  0.056  0.750
O  0.828  0.944  0.250
O  0.117  0.172  0.250
O  0.056  0.883  0.250
O  0.805  0.303  0.662
O  0.697  0.501  0.662
O  0.499  0.195  0.662
O  0.805  0.303  0.838
O  0.697  0.501  0.838
O  0.499  0.195  0.838
O  0.303  0.805  0.162
O  0.501  0.697  0.162
O  0.195  0.499  0.162
O  0.303  0.805  0.338
O  0.501  0.697  0.338
O  0.195  0.499  0.338
O  0.218  0.808  0.536
O  0.192  0.411  0.536
O  0.589  0.782  0.536
O  0.218  0.808  0.964
O  0.192  0.411  0.964
O  0.589  0.782  0.964
O  0.808  0.218  0.036
O  0.411  0.192  0.036
O  0.782  0.589  0.036
O  0.808  0.218  0.464
O  0.411  0.192  0.464
O  0.782  0.589  0.464

For the calculated formation energy, the calculation gives -2530 meV per atom. For the total energy after the MP2020 corrections, the calculation gives -7.660 eV/atom.


Record 5
First-principles (GGA-PBE) data for crystalline ZrBr4 at its relaxed geometry, as listed in Materials Project.

a b c (Å): 12.948 12.948 12.948
angles (deg): 90.00 90.00 90.00
Atoms (fractional coordinates):
Zr  0.127  0.127  0.127
Zr  0.873  0.873  0.873
Zr  0.373  0.873  0.627
Zr  0.873  0.627  0.373
Zr  0.627  0.127  0.373
Zr  0.127  0.373  0.627
Zr  0.627  0.373  0.873
Zr  0.373  0.627  0.127
Br  0.982  0.514  0.262
Br  0.018  0.486  0.738
Br  0.518  0.486  0.762
Br  0.018  0.014  0.238
Br  0.262  0.982  0.514
Br  0.482  0.514  0.238
Br  0.982  0.986  0.762
Br  0.738  0.018  0.486
Br  0.482  0.986  0.738
Br  0.762  0.518  0.486
Br  0.518  0.014  0.262
Br  0.238  0.482  0.514
Br  0.238  0.018  0.014
Br  0.762  0.982  0.986
Br  0.738  0.482  0.986
Br  0.262  0.518  0.014
Br  0.514  0.262  0.982
Br  0.486  0.738  0.018
Br  0.014  0.238  0.018
Br  0.986  0.762  0.982
Br  0.986  0.738  0.482
Br  0.014  0.262  0.518
Br  0.486  0.762  0.518
Br  0.514  0.238  0.482
Br  0.238  0.238  0.238
Br  0.762  0.762  0.762
Br  0.262  0.762  0.738
Br  0.762  0.738  0.262
Br  0.738  0.238  0.262
Br  0.238  0.262  0.738
Br  0.738  0.262  0.762
Br  0.262  0.738  0.238

For the calculated formation energy, the calculation gives -1792 meV per atom. For the total energy after the MP2020 corrections, the calculation gives -4.811 eV/atom.


Record 6
First-principles (GGA-PBE) data for crystalline MgC2N2 at its relaxed geometry, as listed in Materials Project.

a b c (Å): 6.236 6.236 6.237
angles (deg): 90.00 90.00 90.00
Atoms (fractional coordinates):
Mg  0.000  0.000  0.241
Mg  0.500  0.500  0.741
C  0.801  0.801  0.448
C  0.199  0.199  0.448
C  0.301  0.699  0.948
C  0.699  0.301  0.948
N  0.807  0.193  0.057
N  0.193  0.807  0.057
N  0.307  0.307  0.557
N  0.693  0.693  0.557

The piezoelectric modulus e_max is 0.02 C/m². For the calculated formation energy, the calculation gives -238 meV per atom. For the total energy after the MP2020 corrections, the calculation gives -7.584 eV/atom.


Record 7
First-principles (GGA-PBE) data for crystalline Ga2C3N6 at its relaxed geometry, as listed in Materials Project.

a b c (Å): 9.897 5.687 28.008
angles (deg): 90.00 160.62 73.30
Atoms (fractional coordinates):
Ga  0.000  0.000  0.164
Ga  0.000  0.000  0.664
Ga  0.000  0.000  0.836
Ga  0.000  0.000  0.336
C  0.927  0.691  0.059
C  0.000  0.691  0.750
C  0.073  0.618  0.441
C  0.927  0.382  0.559
C  0.073  0.309  0.941
C  0.000  0.309  0.250
N  0.821  0.784  0.066
N  0.174  0.610  0.851
N  0.005  0.605  0.461
N  0.821  0.395  0.566
N  0.005  0.390  0.961
N  0.174  0.216  0.351
N  0.179  0.216  0.934
N  0.826  0.390  0.149
N  0.995  0.395  0.539
N  0.179  0.605  0.434
N  0.995  0.610  0.039
N  0.826  0.784  0.649

The energy above the lowest structure with this stoichiometry comes out at 0.000 eV per atom. For the calculated formation energy, the calculation gives -178 meV per atom. For the total energy after the MP2020 corrections, the calculation gives -7.793 eV/atom.


Record 8
First-principles (GGA-PBE) data for crystalline ReBiO5 at its relaxed geometry, as listed in Materials Project.

a b c (Å): 5.956 9.236 12.127
angles (deg): 90.00 90.00 105.22
Atoms (fractional coordinates):
Re  0.777  0.942  0.648
Re  0.223  0.058  0.352
Re  0.723  0.558  0.148
Re  0.277  0.442  0.852
Bi  0.137  0.142  0.071
Bi  0.863  0.858  0.929
Bi  0.637  0.642  0.429
Bi  0.363  0.358  0.571
O  0.567  0.385  0.094
O  0.080  0.335  0.953
O  0.530  0.659  0.191
O  0.699  0.510  0.561
O  0.866  0.529  0.269
O  0.366  0.029  0.231
O  0.580  0.835  0.547
O  0.420  0.165  0.453
O  0.301  0.490  0.439
O  0.933  0.115  0.594
O  0.134  0.471  0.731
O  0.433  0.615  0.906
O  0.067  0.885  0.406
O  0.634  0.971  0.769
O  0.801  0.990  0.061
O  0.199  0.010  0.939
O  0.470  0.341  0.809
O  0.920  0.665  0.047
O  0.970  0.841  0.691
O  0.030  0.159  0.309

The energy above the lowest structure with this stoichiometry comes out at 0.004 eV per atom. For the calculated formation energy, the calculation gives -1895 meV per atom. For the total energy after the MP2020 corrections, the calculation gives -7.762 eV/atom.


Record 9
First-principles (GGA-PBE) data for crystalline Cs2PtC2O4F4 at its relaxed geometry, as listed in Materials Project.

a b c (Å): 8.118 8.118 9.917
angles (deg): 89.70 89.70 46.25
Atoms (fractional coordinates):
Cs  0.273  0.273  0.335
Cs  0.044  0.044  0.711
Cs  0.727  0.727  0.665
Cs  0.956  0.956  0.289
Pt  0.616  0.616  0.309
Pt  0.384  0.384  0.691
C  0.760  0.514  0.039
C  0.514  0.760  0.039
C  0.486  0.240  0.961
C  0.240  0.486  0.961
O  0.418  0.838  0.159
O  0.131  0.579  0.065
O  0.582  0.162  0.841
O  0.162  0.582  0.841
O  0.579  0.131  0.065
O  0.869  0.421  0.935
O  0.838  0.418  0.159
O  0.421  0.869  0.935
F  0.385  0.829  0.451
F  0.251  0.251  0.664
F  0.171  0.615  0.549
F  0.615  0.171  0.549
F  0.485  0.485  0.283
F  0.749  0.749  0.336
F  0.515  0.515  0.717
F  0.829  0.385  0.451

For the calculated formation energy, the calculation gives -1998 meV per atom. For the total energy after the MP2020 corrections, the calculation gives -6.134 eV/atom.


Record 10
First-principles (GGA-PBE) data for crystalline RbMgNbO3 at its relaxed geometry, as listed in Materials Project.

a b c (Å): 4.169 4.169 5.091
angles (deg): 90.00 90.00 90.00
Atoms (fractional coordinates):
Rb  0.500  0.500  0.500
Mg  0.500  0.500  0.000
Nb  0.000  0.000  0.000
O  0.500  0.000  0.000
O  0.000  0.500  0.000
O  0.000  0.000  0.500

The energy above the lowest structure with this stoichiometry comes out at 0.631 eV per atom. For the calculated formation energy, the calculation gives -1697 meV per atom. For the total energy after the MP2020 corrections, the calculation gives -6.284 eV/atom.


Record 11
First-principles (GGA-PBE) data for crystalline LiSbRh2 at its relaxed geometry, as listed in Materials Project.

a b c (Å): 4.382 4.382 4.382
angles (deg): 60.00 60.00 60.00
Atoms (fractional coordinates):
Li  0.500  0.500  0.500
Sb  0.000  0.000  0.000
Rh  0.250  0.250  0.250
Rh  0.750  0.750  0.750

For the calculated formation energy, the calculation gives -588 meV per atom.


Question: calculated formation energy of number 6 (MgC2N2)?
Answer: -238 meV per atom